[1]
Mn5P4O20: relaxed, GGA+U.

abc: 9.678 9.678 9.253
angles: 83.06 83.06 55.61
Fractional coordinates of all 58 atoms:
P  0.263  0.893  0.378
P  0.893  0.263  0.878
P  0.093  0.594  0.651
P  0.107  0.737  0.122
P  0.594  0.093  0.151
P  0.406  0.907  0.849
P  0.737  0.107  0.622
P  0.907  0.406  0.349
O  0.923  0.663  0.744
O  0.676  0.181  0.184
O  0.706  0.785  0.541
O  0.261  0.737  0.384
O  0.077  0.337  0.256
O  0.663  0.923  0.244
O  0.337  0.077  0.756
O  0.966  0.871  0.235
O  0.294  0.215  0.459
O  0.428  0.874  0.319
O  0.739  0.263  0.616
O  0.181  0.676  0.684
O  0.200  0.970  0.530
O  0.572  0.126  0.681
O  0.209  0.400  0.682
O  0.609  0.570  0.654
O  0.785  0.706  0.041
O  0.570  0.609  0.154
O  0.871  0.966  0.735
O  0.324  0.819  0.816
O  0.263  0.739  0.116
O  0.400  0.209  0.182
O  0.034  0.129  0.765
O  0.791  0.600  0.318
O  0.215  0.294  0.959
O  0.737  0.261  0.884
O  0.391  0.430  0.346
O  0.819  0.324  0.316
O  0.970  0.200  0.030
O  0.800  0.030  0.470
O  0.129  0.034  0.265
O  0.386  0.946  0.013
O  0.054  0.614  0.487
O  0.600  0.791  0.818
O  0.874  0.428  0.819
O  0.430  0.391  0.846
O  0.126  0.572  0.181
O  0.614  0.054  0.987
O  0.946  0.386  0.513
O  0.030  0.800  0.970
Mn  0.155  0.197  0.607
Mn  0.260  0.378  0.322
Mn  0.845  0.803  0.393
Mn  0.892  0.108  0.250
Mn  0.622  0.740  0.178
Mn  0.803  0.845  0.893
Mn  0.740  0.622  0.678
Mn  0.378  0.260  0.822
Mn  0.108  0.892  0.750
Mn  0.197  0.155  0.107

Results
Crystal system   monoclinic

---

[2]
Mn4P3O12: relaxed, GGA+U.

abc: 6.398 9.983 16.407
angles: 90.00 90.00 90.00
Fractional coordinates of all 76 atoms:
Mn  0.247  0.240  0.701
Mn  0.753  0.240  0.701
Mn  0.753  0.760  0.299
Mn  0.000  0.012  0.861
Mn  0.500  0.951  0.594
Mn  0.000  0.451  0.906
Mn  0.253  0.260  0.201
Mn  0.500  0.049  0.406
Mn  0.500  0.488  0.361
Mn  0.747  0.260  0.201
Mn  0.247  0.760  0.299
Mn  0.000  0.988  0.139
Mn  0.253  0.740  0.799
Mn  0.747  0.740  0.799
Mn  0.000  0.549  0.094
Mn  0.500  0.512  0.639
P  0.500  0.552  0.161
P  0.000  0.532  0.721
P  0.500  0.968  0.221
P  0.500  0.285  0.533
P  0.000  0.215  0.033
P  0.000  0.052  0.339
P  0.000  0.785  0.967
P  0.000  0.468  0.279
P  0.500  0.448  0.839
P  0.000  0.948  0.661
P  0.500  0.032  0.779
P  0.500  0.715  0.467
O  0.000  0.627  0.982
O  0.500  0.084  0.685
O  0.191  0.826  0.914
O  0.500  0.916  0.315
O  0.000  0.373  0.018
O  0.000  0.125  0.252
O  0.500  0.347  0.449
O  0.800  0.094  0.384
O  0.809  0.174  0.086
O  0.000  0.847  0.051
O  0.500  0.877  0.774
O  0.000  0.153  0.949
O  0.000  0.898  0.323
O  0.500  0.653  0.551
O  0.500  0.127  0.518
O  0.700  0.406  0.884
O  0.203  0.591  0.687
O  0.000  0.875  0.748
O  0.500  0.375  0.752
O  0.500  0.398  0.177
O  0.000  0.377  0.726
O  0.200  0.906  0.616
O  0.000  0.416  0.185
O  0.797  0.409  0.313
O  0.300  0.594  0.116
O  0.300  0.406  0.884
O  0.691  0.326  0.586
O  0.203  0.409  0.313
O  0.809  0.826  0.914
O  0.703  0.909  0.187
O  0.800  0.906  0.616
O  0.703  0.091  0.813
O  0.691  0.674  0.414
O  0.500  0.873  0.482
O  0.500  0.123  0.226
O  0.500  0.602  0.823
O  0.191  0.174  0.086
O  0.797  0.591  0.687
O  0.000  0.623  0.274
O  0.000  0.102  0.677
O  0.297  0.091  0.813
O  0.500  0.625  0.248
O  0.297  0.909  0.187
O  0.309  0.326  0.586
O  0.309  0.674  0.414
O  0.700  0.594  0.116
O  0.200  0.094  0.384
O  0.000  0.584  0.815

Results
Distance to the lowest polymorph of the same formula   10 meV/atom
Crystal system   orthorhombic

---

[3]
MnP3O9: relaxed, GGA+U.

abc: 6.465 9.902 10.894
angles: 90.00 90.00 90.00
Fractional coordinates of all 52 atoms:
O  0.349  0.998  0.346
O  0.250  0.715  0.750
O  0.610  0.820  0.464
O  0.268  0.415  0.599
O  0.890  0.820  0.036
O  0.406  0.691  0.308
O  0.906  0.809  0.692
O  0.268  0.915  0.901
O  0.610  0.320  0.036
O  0.849  0.502  0.654
O  0.110  0.180  0.964
O  0.890  0.320  0.464
O  0.732  0.085  0.099
O  0.151  0.498  0.346
O  0.151  0.998  0.154
O  0.110  0.680  0.536
O  0.390  0.680  0.964
O  0.849  0.002  0.846
O  0.232  0.415  0.901
O  0.750  0.785  0.250
O  0.594  0.309  0.692
O  0.594  0.809  0.808
O  0.406  0.191  0.192
O  0.250  0.215  0.750
O  0.232  0.915  0.599
O  0.732  0.585  0.401
O  0.094  0.691  0.192
O  0.750  0.285  0.250
O  0.651  0.002  0.654
O  0.349  0.498  0.154
O  0.768  0.085  0.401
O  0.390  0.180  0.536
O  0.906  0.309  0.808
O  0.094  0.191  0.308
O  0.651  0.502  0.846
O  0.768  0.585  0.099
P  0.750  0.915  0.750
P  0.250  0.085  0.250
P  0.633  0.214  0.136
P  0.867  0.714  0.136
P  0.250  0.585  0.250
P  0.750  0.415  0.750
P  0.367  0.286  0.636
P  0.133  0.786  0.636
P  0.133  0.286  0.864
P  0.367  0.786  0.864
P  0.867  0.214  0.364
P  0.633  0.714  0.364
Mn  0.500  0.000  0.500
Mn  0.000  0.000  0.000
Mn  0.500  0.500  0.000
Mn  0.000  0.500  0.500

Results
Distance to the lowest polymorph of the same formula   118 meV/atom
Crystal system   orthorhombic

---

[4]
MnPO4: relaxed, GGA+U.

abc: 7.297 6.227 5.448
angles: 77.05 56.26 46.69
Fractional coordinates of all 12 atoms:
P  0.386  0.614  0.386
P  0.636  0.864  0.636
O  0.859  0.516  0.596
O  0.322  0.996  0.736
O  0.221  0.654  0.734
O  0.734  0.391  0.221
O  0.254  0.928  0.304
O  0.304  0.514  0.254
O  0.736  0.946  0.322
O  0.596  0.029  0.859
Mn  0.289  0.211  0.289
Mn  0.039  0.961  0.039

Results
Crystal system   orthorhombic

---

[5]
MnP2PbO7: relaxed, GGA+U.

abc: 8.585 5.490 14.182
angles: 67.43 90.00 90.00
Fractional coordinates of all 44 atoms:
O  0.134  0.473  0.845
O  0.634  0.527  0.655
O  0.866  0.527  0.155
O  0.883  0.684  0.763
O  0.801  0.120  0.587
O  0.565  0.204  0.292
O  0.172  0.385  0.526
O  0.935  0.204  0.792
O  0.117  0.316  0.237
O  0.897  0.261  0.404
O  0.301  0.880  0.913
O  0.435  0.796  0.708
O  0.065  0.796  0.208
O  0.103  0.739  0.596
O  0.603  0.261  0.904
O  0.386  0.671  0.555
O  0.114  0.671  0.055
O  0.383  0.316  0.737
O  0.617  0.684  0.263
O  0.366  0.473  0.345
O  0.699  0.120  0.087
O  0.886  0.329  0.945
O  0.397  0.739  0.096
O  0.328  0.385  0.026
O  0.672  0.615  0.974
O  0.828  0.615  0.474
O  0.199  0.880  0.413
O  0.614  0.329  0.445
Pb  0.678  0.022  0.775
Pb  0.178  0.978  0.725
Pb  0.822  0.022  0.275
Pb  0.322  0.978  0.225
Mn  0.649  0.723  0.103
Mn  0.351  0.277  0.897
Mn  0.149  0.277  0.397
Mn  0.851  0.723  0.603
P  0.962  0.423  0.832
P  0.206  0.664  0.521
P  0.038  0.577  0.168
P  0.794  0.336  0.479
P  0.706  0.336  0.979
P  0.462  0.577  0.668
P  0.538  0.423  0.332
P  0.294  0.664  0.021

Results
Crystal system   monoclinic

---

[6]
Mn3P3PbO12: relaxed, GGA+U.

abc: 9.401 9.401 9.401
angles: 138.00 112.39 82.87
Fractional coordinates of all 38 atoms:
O  0.632  0.488  0.619
O  0.160  0.697  0.537
O  0.840  0.706  0.280
O  0.660  0.124  0.463
O  0.426  0.706  0.865
O  0.639  0.199  0.838
O  0.160  0.294  0.720
O  0.361  0.801  0.162
O  0.368  0.512  0.381
O  0.340  0.061  0.135
O  0.861  0.302  0.162
O  0.861  0.698  0.560
O  0.574  0.294  0.135
O  0.639  0.801  0.440
O  0.074  0.939  0.280
O  0.926  0.061  0.720
O  0.868  0.488  0.856
O  0.361  0.199  0.560
O  0.139  0.302  0.440
O  0.132  0.512  0.144
O  0.340  0.876  0.537
O  0.840  0.303  0.463
O  0.139  0.698  0.838
O  0.660  0.939  0.865
Mn  0.000  0.500  0.500
Mn  0.882  0.382  0.000
Mn  0.500  0.000  0.500
Mn  0.118  0.618  0.000
Mn  0.618  0.618  0.500
Mn  0.382  0.382  0.500
P  0.750  0.345  0.595
P  0.177  0.177  0.500
P  0.677  0.177  0.000
P  0.250  0.655  0.405
P  0.823  0.823  0.500
P  0.323  0.823  0.000
Pb  0.750  0.866  0.116
Pb  0.250  0.134  0.884

Results
Crystal system   orthorhombic

---

[7]
Mn3TeP2Pb3O14: relaxed, GGA+U.

abc: 8.649 8.649 10.832
angles: 90.00 90.00 120.00
Fractional coordinates of all 46 atoms:
Pb  0.603  0.000  0.000
Pb  0.000  0.603  0.000
Pb  0.397  0.397  0.500
Pb  0.397  0.397  0.000
Pb  0.000  0.603  0.500
Pb  0.603  0.000  0.500
O  0.788  0.915  0.104
O  0.788  0.914  0.604
O  0.732  0.524  0.665
O  0.667  0.333  0.362
O  0.476  0.208  0.165
O  0.476  0.208  0.665
O  0.086  0.874  0.104
O  0.667  0.333  0.862
O  0.915  0.788  0.396
O  0.792  0.268  0.665
O  0.212  0.126  0.896
O  0.874  0.085  0.896
O  0.212  0.126  0.396
O  0.126  0.212  0.104
O  0.333  0.667  0.138
O  0.792  0.268  0.165
O  0.732  0.524  0.165
O  0.914  0.788  0.896
O  0.208  0.476  0.835
O  0.524  0.732  0.335
O  0.085  0.873  0.604
O  0.524  0.732  0.835
O  0.874  0.086  0.396
O  0.126  0.212  0.604
O  0.268  0.792  0.335
O  0.208  0.476  0.335
O  0.333  0.667  0.638
O  0.268  0.792  0.835
Mn  0.252  0.000  0.250
Mn  0.251  0.000  0.750
Mn  0.000  0.251  0.250
Mn  0.749  0.749  0.750
Mn  0.748  0.748  0.250
Mn  0.000  0.251  0.750
P  0.333  0.667  0.280
P  0.667  0.333  0.220
P  0.333  0.667  0.780
P  0.667  0.333  0.720
Te  0.000  0.000  0.000
Te  0.000  0.000  0.500

---

Record order is preserved below.
Calculated formation energy: -2022.0 -2478.9 -2396.3 -2389.9 -2513.6 -2487.7 -2157.0 meV per atom